Entry from the Materials Project: an optimized crystal structure of Na2CuH6C2O9 (GGA-PBE).

a b c (Å): 9.871 6.171 16.644
angles (deg): 90.00 124.04 90.00
Fractional coordinates of all 80 atoms:
Na (0.037, 0.239, 0.198)
Na (0.037, 0.261, 0.698)
Na (0.297, 0.019, 0.902)
Na (0.297, 0.481, 0.402)
Na (0.703, 0.519, 0.598)
Na (0.703, 0.981, 0.098)
Na (0.963, 0.739, 0.302)
Na (0.963, 0.761, 0.802)
Cu (0.302, 0.508, 0.179)
Cu (0.302, 0.992, 0.679)
Cu (0.698, 0.008, 0.321)
Cu (0.698, 0.492, 0.821)
H (0.021, 0.241, 0.012)
H (0.021, 0.259, 0.512)
H (0.141, 0.072, 0.090)
H (0.141, 0.428, 0.590)
H (0.280, 0.547, 0.891)
H (0.280, 0.953, 0.391)
H (0.295, 0.607, 0.988)
H (0.295, 0.893, 0.488)
H (0.428, 0.024, 0.114)
H (0.428, 0.476, 0.614)
H (0.445, 0.241, 0.588)
H (0.445, 0.259, 0.088)
H (0.555, 0.741, 0.912)
H (0.555, 0.759, 0.412)
H (0.572, 0.524, 0.386)
H (0.572, 0.976, 0.886)
H (0.705, 0.107, 0.512)
H (0.705, 0.393, 0.012)
H (0.720, 0.047, 0.609)
H (0.720, 0.453, 0.109)
H (0.859, 0.572, 0.410)
H (0.859, 0.928, 0.910)
H (0.979, 0.741, 0.488)
H (0.979, 0.759, 0.988)
C (0.093, 0.741, 0.170)
C (0.093, 0.759, 0.670)
C (0.443, 0.154, 0.327)
C (0.443, 0.346, 0.827)
C (0.557, 0.654, 0.173)
C (0.557, 0.846, 0.673)
C (0.907, 0.241, 0.330)
C (0.907, 0.259, 0.830)
O (0.012, 0.141, 0.830)
O (0.012, 0.359, 0.330)
O (0.110, 0.226, 0.082)
O (0.110, 0.274, 0.582)
O (0.141, 0.734, 0.611)
O (0.141, 0.766, 0.111)
O (0.168, 0.581, 0.232)
O (0.168, 0.919, 0.732)
O (0.241, 0.652, 0.920)
O (0.241, 0.848, 0.420)
O (0.321, 0.150, 0.333)
O (0.321, 0.350, 0.833)
O (0.431, 0.522, 0.120)
O (0.431, 0.978, 0.620)
O (0.441, 0.105, 0.068)
O (0.441, 0.395, 0.568)
O (0.457, 0.214, 0.770)
O (0.457, 0.286, 0.270)
O (0.543, 0.714, 0.730)
O (0.543, 0.786, 0.230)
O (0.559, 0.605, 0.432)
O (0.559, 0.895, 0.932)
O (0.569, 0.022, 0.380)
O (0.569, 0.478, 0.880)
O (0.679, 0.650, 0.167)
O (0.679, 0.850, 0.667)
O (0.759, 0.152, 0.580)
O (0.759, 0.348, 0.080)
O (0.832, 0.081, 0.268)
O (0.832, 0.419, 0.768)
O (0.859, 0.234, 0.889)
O (0.859, 0.266, 0.389)
O (0.890, 0.726, 0.418)
O (0.890, 0.774, 0.918)
O (0.988, 0.641, 0.670)
O (0.988, 0.859, 0.170)

## Properties
**Symmetry**: P2_1/c, No. 14

***

Entry from the Materials Project: an optimized crystal structure of NaCuPH8C2SO8 (GGA-PBE).

a b c (Å): 14.963 7.873 7.704
angles (deg): 90.00 91.55 90.00
Fractional coordinates of all 88 atoms:
Na (0.034, 0.190, 0.436)
Na (0.034, 0.310, 0.936)
Na (0.966, 0.690, 0.064)
Na (0.966, 0.810, 0.564)
Cu (0.477, 0.699, 0.572)
Cu (0.477, 0.801, 0.072)
Cu (0.523, 0.199, 0.928)
Cu (0.523, 0.301, 0.428)
P (0.396, 0.054, 0.650)
P (0.396, 0.446, 0.150)
P (0.604, 0.554, 0.850)
P (0.604, 0.946, 0.350)
H (0.138, 0.582, 0.847)
H (0.138, 0.918, 0.347)
H (0.156, 0.047, 0.200)
H (0.156, 0.453, 0.700)
H (0.229, 0.677, 0.161)
H (0.229, 0.823, 0.661)
H (0.244, 0.128, 0.583)
H (0.244, 0.372, 0.083)
H (0.270, 0.637, 0.376)
H (0.270, 0.863, 0.876)
H (0.277, 0.181, 0.800)
H (0.277, 0.319, 0.300)
H (0.378, 0.573, 0.798)
H (0.378, 0.927, 0.298)
H (0.384, 0.049, 0.135)
H (0.384, 0.451, 0.635)
H (0.616, 0.549, 0.365)
H (0.616, 0.951, 0.865)
H (0.622, 0.073, 0.702)
H (0.622, 0.427, 0.202)
H (0.723, 0.681, 0.700)
H (0.723, 0.819, 0.200)
H (0.730, 0.137, 0.124)
H (0.730, 0.363, 0.624)
H (0.756, 0.628, 0.917)
H (0.756, 0.872, 0.417)
H (0.771, 0.177, 0.339)
H (0.771, 0.323, 0.839)
H (0.844, 0.547, 0.300)
H (0.844, 0.953, 0.800)
H (0.862, 0.082, 0.653)
H (0.862, 0.418, 0.153)
C (0.235, 0.581, 0.264)
C (0.235, 0.919, 0.764)
C (0.279, 0.082, 0.701)
C (0.279, 0.418, 0.201)
C (0.721, 0.582, 0.799)
C (0.721, 0.918, 0.299)
C (0.765, 0.081, 0.236)
C (0.765, 0.419, 0.736)
S (0.123, 0.544, 0.335)
S (0.123, 0.956, 0.835)
S (0.877, 0.044, 0.165)
S (0.877, 0.456, 0.665)
O (0.069, 0.023, 0.689)
O (0.069, 0.477, 0.189)
O (0.090, 0.711, 0.394)
O (0.090, 0.789, 0.894)
O (0.130, 0.081, 0.977)
O (0.130, 0.419, 0.477)
O (0.155, 0.036, 0.327)
O (0.155, 0.464, 0.827)
O (0.372, 0.570, 0.668)
O (0.372, 0.930, 0.168)
O (0.404, 0.599, 0.024)
O (0.404, 0.901, 0.524)
O (0.422, 0.225, 0.565)
O (0.422, 0.275, 0.065)
O (0.448, 0.018, 0.822)
O (0.448, 0.482, 0.322)
O (0.552, 0.518, 0.678)
O (0.552, 0.982, 0.178)
O (0.578, 0.725, 0.935)
O (0.578, 0.775, 0.435)
O (0.596, 0.099, 0.476)
O (0.596, 0.401, 0.976)
O (0.628, 0.070, 0.832)
O (0.628, 0.430, 0.332)
O (0.845, 0.536, 0.173)
O (0.845, 0.964, 0.673)
O (0.870, 0.581, 0.523)
O (0.870, 0.919, 0.023)
O (0.910, 0.211, 0.106)
O (0.910, 0.289, 0.606)
O (0.931, 0.523, 0.811)
O (0.931, 0.977, 0.311)

## Properties
**Total magnetic moment**: 1.02 μB/f.u.
**Symmetry**: P2_1/c, No. 14

***

Entry from the Materials Project: an optimized crystal structure of CuH2C2O4 (GGA-PBE).

a b c (Å): 6.766 12.120 11.481
angles (deg): 90.00 90.00 90.00
Fractional coordinates of all 72 atoms:
Cu (0.205, 0.020, 0.113)
Cu (0.205, 0.480, 0.613)
Cu (0.295, 0.520, 0.113)
Cu (0.295, 0.980, 0.613)
Cu (0.705, 0.020, 0.387)
Cu (0.705, 0.480, 0.887)
Cu (0.795, 0.520, 0.387)
Cu (0.795, 0.980, 0.887)
H (0.019, 0.712, 0.829)
H (0.019, 0.788, 0.329)
H (0.063, 0.084, 0.344)
H (0.063, 0.416, 0.844)
H (0.437, 0.584, 0.344)
H (0.437, 0.916, 0.844)
H (0.481, 0.212, 0.829)
H (0.481, 0.288, 0.329)
H (0.519, 0.712, 0.671)
H (0.519, 0.788, 0.171)
H (0.563, 0.084, 0.156)
H (0.563, 0.416, 0.656)
H (0.937, 0.584, 0.156)
H (0.937, 0.916, 0.656)
H (0.981, 0.212, 0.671)
H (0.981, 0.288, 0.171)
C (0.162, 0.179, 0.113)
C (0.162, 0.321, 0.613)
C (0.181, 0.022, 0.356)
C (0.181, 0.478, 0.856)
C (0.319, 0.522, 0.356)
C (0.319, 0.978, 0.856)
C (0.338, 0.679, 0.113)
C (0.338, 0.821, 0.613)
C (0.662, 0.179, 0.387)
C (0.662, 0.321, 0.887)
C (0.681, 0.022, 0.144)
C (0.681, 0.478, 0.644)
C (0.819, 0.522, 0.144)
C (0.819, 0.978, 0.644)
C (0.838, 0.679, 0.387)
C (0.838, 0.821, 0.887)
O (0.023, 0.212, 0.189)
O (0.023, 0.288, 0.689)
O (0.237, 0.534, 0.767)
O (0.237, 0.966, 0.267)
O (0.242, 0.512, 0.455)
O (0.242, 0.988, 0.955)
O (0.244, 0.240, 0.043)
O (0.244, 0.260, 0.543)
O (0.256, 0.740, 0.043)
O (0.256, 0.760, 0.543)
O (0.258, 0.012, 0.455)
O (0.258, 0.488, 0.955)
O (0.263, 0.034, 0.767)
O (0.263, 0.466, 0.267)
O (0.477, 0.712, 0.189)
O (0.477, 0.788, 0.689)
O (0.523, 0.212, 0.311)
O (0.523, 0.288, 0.811)
O (0.737, 0.534, 0.733)
O (0.737, 0.966, 0.233)
O (0.742, 0.512, 0.045)
O (0.742, 0.988, 0.545)
O (0.744, 0.240, 0.457)
O (0.744, 0.260, 0.957)
O (0.756, 0.740, 0.457)
O (0.756, 0.760, 0.957)
O (0.758, 0.012, 0.045)
O (0.758, 0.488, 0.545)
O (0.763, 0.034, 0.733)
O (0.763, 0.466, 0.233)
O (0.977, 0.712, 0.311)
O (0.977, 0.788, 0.811)

## Properties
**Total magnetic moment**: 0.99 μB/f.u.
**Symmetry**: Pbca, No. 61

***

Entry from the Materials Project: an optimized crystal structure of CuHCO4 (GGA-PBE).

a b c (Å): 10.751 10.751 6.089
angles (deg): 90.00 90.00 120.00
Fractional coordinates of all 42 atoms:
Cu (0.000, 0.500, 0.000)
Cu (0.000, 0.500, 0.500)
Cu (0.500, 0.000, 0.000)
Cu (0.500, 0.000, 0.500)
Cu (0.500, 0.500, 0.000)
Cu (0.500, 0.500, 0.500)
H (0.187, 0.594, 0.250)
H (0.406, 0.593, 0.250)
H (0.407, 0.813, 0.250)
H (0.593, 0.187, 0.750)
H (0.594, 0.407, 0.750)
H (0.813, 0.406, 0.750)
C (0.193, 0.751, 0.750)
C (0.249, 0.441, 0.750)
C (0.441, 0.193, 0.250)
C (0.559, 0.807, 0.750)
C (0.751, 0.559, 0.250)
C (0.807, 0.249, 0.250)
O (0.101, 0.498, 0.250)
O (0.119, 0.409, 0.750)
O (0.147, 0.688, 0.559)
O (0.147, 0.688, 0.941)
O (0.290, 0.881, 0.750)
O (0.312, 0.459, 0.559)
O (0.312, 0.459, 0.941)
O (0.396, 0.899, 0.250)
O (0.409, 0.290, 0.250)
O (0.459, 0.147, 0.059)
O (0.459, 0.147, 0.441)
O (0.498, 0.396, 0.750)
O (0.502, 0.604, 0.250)
O (0.541, 0.853, 0.559)
O (0.541, 0.853, 0.941)
O (0.591, 0.710, 0.750)
O (0.604, 0.101, 0.750)
O (0.688, 0.541, 0.059)
O (0.688, 0.541, 0.441)
O (0.710, 0.119, 0.250)
O (0.853, 0.312, 0.059)
O (0.853, 0.312, 0.441)
O (0.881, 0.591, 0.250)
O (0.899, 0.502, 0.750)

## Properties
**Total magnetic moment**: 0.00 μB/f.u.
**Symmetry**: P6_3/m, No. 176

***

Entry from the Materials Project: an optimized crystal structure of CuH2C2O4 (GGA-PBE).

a b c (Å): 6.327 7.982 8.100
angles (deg): 90.00 101.27 90.00
Fractional coordinates of all 18 atoms:
Cu (0.000, 0.000, 0.000)
Cu (0.000, 0.500, 0.500)
H (0.078, 0.188, 0.700)
H (0.078, 0.312, 0.200)
H (0.922, 0.688, 0.800)
H (0.922, 0.812, 0.300)
C (0.026, 0.732, 0.238)
C (0.026, 0.768, 0.738)
C (0.974, 0.232, 0.262)
C (0.974, 0.268, 0.762)
O (0.080, 0.587, 0.296)
O (0.080, 0.913, 0.796)
O (0.089, 0.713, 0.608)
O (0.089, 0.787, 0.108)
O (0.911, 0.213, 0.892)
O (0.911, 0.287, 0.392)
O (0.920, 0.087, 0.204)
O (0.920, 0.413, 0.704)

## Properties
**Total magnetic moment**: 0.00 μB/f.u.
**Symmetry**: P2_1/c, No. 14

***

Entry from the Materials Project: an optimized crystal structure of Cu3H2C2O8 (GGA-PBE).

a b c (Å): 5.070 6.031 10.500
angles (deg): 90.00 92.74 90.00
Fractional coordinates of all 30 atoms:
Cu (0.000, 0.000, 0.000)
Cu (0.000, 0.500, 0.500)
Cu (0.251, 0.000, 0.584)
Cu (0.251, 0.500, 0.084)
Cu (0.749, 0.000, 0.416)
Cu (0.749, 0.500, 0.916)
H (0.179, 0.201, 0.375)
H (0.179, 0.299, 0.875)
H (0.821, 0.701, 0.125)
H (0.821, 0.799, 0.625)
C (0.333, 0.694, 0.319)
C (0.333, 0.806, 0.819)
C (0.667, 0.194, 0.181)
C (0.667, 0.306, 0.681)
O (0.069, 0.191, 0.450)
O (0.069, 0.309, 0.950)
O (0.114, 0.586, 0.334)
O (0.114, 0.914, 0.834)
O (0.431, 0.697, 0.208)
O (0.431, 0.803, 0.708)
O (0.449, 0.706, 0.915)
O (0.449, 0.794, 0.415)
O (0.551, 0.206, 0.585)
O (0.551, 0.294, 0.085)
O (0.569, 0.197, 0.292)
O (0.569, 0.303, 0.792)
O (0.886, 0.086, 0.166)
O (0.886, 0.414, 0.666)
O (0.931, 0.691, 0.050)
O (0.931, 0.809, 0.550)

## Properties
**Total magnetic moment**: 3.00 μB/f.u.
**Symmetry**: P2_1/c, No. 14

***

Entry from the Materials Project: an optimized crystal structure of CuH2C2O4 (GGA-PBE).

a b c (Å): 6.393 14.007 9.637
angles (deg): 90.00 90.00 90.00
Fractional coordinates of all 72 atoms:
Cu (0.199, 0.103, 0.144)
Cu (0.199, 0.397, 0.644)
Cu (0.301, 0.603, 0.144)
Cu (0.301, 0.897, 0.644)
Cu (0.699, 0.103, 0.356)
Cu (0.699, 0.397, 0.856)
Cu (0.801, 0.603, 0.356)
Cu (0.801, 0.897, 0.856)
H (0.134, 0.748, 0.319)
H (0.134, 0.752, 0.819)
H (0.210, 0.081, 0.805)
H (0.210, 0.419, 0.305)
H (0.290, 0.581, 0.805)
H (0.290, 0.919, 0.305)
H (0.366, 0.248, 0.319)
H (0.366, 0.252, 0.819)
H (0.634, 0.748, 0.181)
H (0.634, 0.752, 0.681)
H (0.710, 0.081, 0.695)
H (0.710, 0.419, 0.195)
H (0.790, 0.581, 0.695)
H (0.790, 0.919, 0.195)
H (0.866, 0.248, 0.181)
H (0.866, 0.252, 0.681)
C (0.186, 0.014, 0.864)
C (0.186, 0.486, 0.364)
C (0.195, 0.730, 0.121)
C (0.195, 0.770, 0.621)
C (0.305, 0.230, 0.121)
C (0.305, 0.270, 0.621)
C (0.314, 0.514, 0.864)
C (0.314, 0.986, 0.364)
C (0.686, 0.014, 0.636)
C (0.686, 0.486, 0.136)
C (0.695, 0.730, 0.379)
C (0.695, 0.770, 0.879)
C (0.805, 0.230, 0.379)
C (0.805, 0.270, 0.879)
C (0.814, 0.514, 0.636)
C (0.814, 0.986, 0.136)
O (0.099, 0.556, 0.297)
O (0.099, 0.944, 0.797)
O (0.107, 0.722, 0.727)
O (0.107, 0.778, 0.227)
O (0.198, 0.734, 0.505)
O (0.198, 0.766, 0.005)
O (0.240, 0.010, 0.989)
O (0.240, 0.490, 0.489)
O (0.260, 0.510, 0.989)
O (0.260, 0.990, 0.489)
O (0.302, 0.234, 0.505)
O (0.302, 0.266, 0.005)
O (0.393, 0.222, 0.727)
O (0.393, 0.278, 0.227)
O (0.401, 0.056, 0.297)
O (0.401, 0.444, 0.797)
O (0.599, 0.556, 0.203)
O (0.599, 0.944, 0.703)
O (0.607, 0.722, 0.773)
O (0.607, 0.778, 0.273)
O (0.698, 0.734, 0.995)
O (0.698, 0.766, 0.495)
O (0.740, 0.010, 0.511)
O (0.740, 0.490, 0.011)
O (0.760, 0.510, 0.511)
O (0.760, 0.990, 0.011)
O (0.802, 0.234, 0.995)
O (0.802, 0.266, 0.495)
O (0.893, 0.222, 0.773)
O (0.893, 0.278, 0.273)
O (0.901, 0.056, 0.203)
O (0.901, 0.444, 0.703)

## Properties
**Total magnetic moment**: 1.00 μB/f.u.
**Symmetry**: Pbca, No. 61

***

no.,electronic total energy (eV per formula unit),energy of formation from the pure elements (meV/atom)
1,-115.34,-1572
2,-122.74,-1276
3,-55.05,-963
4,-42.85,-1297
5,-56.10,-1080
6,-91.67,-1336
7,-55.26,-986